# 1
Below is a geometry-optimized AgSbF6 structure, with properties calculated at the PBE level.

Summary:
Formation energy from the elements in eV/atom: -2.3596

Lattice parameters (Å, degrees): 8.6555 8.6555 8.6555 109.47 109.47 109.47
Fractional coordinates of all 32 atoms:
Ag (0.5000, 0.5000, 0.5000)
Ag (0.0000, 0.5000, 0.0000)
Ag (0.0000, 0.0000, 0.5000)
Ag (0.5000, 0.0000, 0.0000)
Sb (0.0000, 0.0000, 0.0000)
Sb (0.5000, 0.5000, 0.0000)
Sb (0.0000, 0.5000, 0.5000)
Sb (0.5000, 0.0000, 0.5000)
F (0.4215, 0.6780, 0.9746)
F (0.2966, 0.8220, 0.2434)
F (0.0785, 0.0532, 0.2566)
F (0.4468, 0.5254, 0.2034)
F (0.5254, 0.2034, 0.4468)
F (0.9746, 0.4215, 0.6780)
F (0.8220, 0.2434, 0.2966)
F (0.2566, 0.0785, 0.0532)
F (0.7966, 0.5532, 0.4746)
F (0.9468, 0.7434, 0.9215)
F (0.7566, 0.7034, 0.1780)
F (0.3220, 0.0254, 0.5785)
F (0.7434, 0.9215, 0.9468)
F (0.1780, 0.7566, 0.7034)
F (0.0254, 0.5785, 0.3220)
F (0.4746, 0.7966, 0.5532)
F (0.5532, 0.4746, 0.7966)
F (0.9215, 0.9468, 0.7434)
F (0.7034, 0.1780, 0.7566)
F (0.5785, 0.3220, 0.0254)
F (0.2034, 0.4468, 0.5254)
F (0.0532, 0.2566, 0.0785)
F (0.2434, 0.2966, 0.8220)
F (0.6780, 0.9746, 0.4215)


# 2
Below is a geometry-optimized CeNiGe structure, with properties calculated at the PBE level.

Summary:
Formation energy from the elements in eV/atom: -0.7383

Lattice parameters (Å, degrees): 4.2050 4.2050 7.6868 90.00 90.00 120.00
Fractional coordinates of all 6 atoms:
Ce (0.0000, 0.0000, 0.5000)
Ce (0.0000, 0.0000, 0.0000)
Ni (0.3333, 0.6667, 0.2500)
Ni (0.6667, 0.3333, 0.7500)
Ge (0.3333, 0.6667, 0.7500)
Ge (0.6667, 0.3333, 0.2500)


# 3
Below is a geometry-optimized Sr16Cu8O23 structure, with properties calculated at the PBE level.

Summary:
Formation energy from the elements in eV/atom: -2.4241

Lattice parameters (Å, degrees): 6.8725 10.2055 11.3748 106.44 98.09 105.44
Fractional coordinates of all 47 atoms:
Sr (0.2804, 0.9907, 0.3748)
Sr (0.8443, 0.1356, 0.3755)
Sr (0.3414, 0.6407, 0.3710)
Sr (0.4054, 0.1146, 0.1255)
Sr (0.5946, 0.8854, 0.8745)
Sr (0.4666, 0.7598, 0.1237)
Sr (0.9056, 0.6130, 0.1231)
Sr (0.7927, 0.4903, 0.3712)
Sr (0.9692, 0.2593, 0.1247)
Sr (0.0308, 0.7407, 0.8753)
Sr (0.5334, 0.2402, 0.8763)
Sr (0.2073, 0.5097, 0.6288)
Sr (0.6586, 0.3593, 0.6290)
Sr (0.0944, 0.3870, 0.8769)
Sr (0.7196, 0.0093, 0.6252)
Sr (0.1557, 0.8644, 0.6245)
Cu (0.3207, 0.3201, 0.3795)
Cu (0.8124, 0.8132, 0.3755)
Cu (0.9340, 0.9352, 0.1242)
Cu (0.4381, 0.4370, 0.1266)
Cu (0.6793, 0.6799, 0.6205)
Cu (0.5619, 0.5630, 0.8734)
Cu (0.1876, 0.1868, 0.6245)
Cu (0.0660, 0.0648, 0.8758)
O (0.1029, 0.4021, 0.3846)
O (0.5534, 0.2531, 0.3845)
O (0.1168, 0.1175, 0.2461)
O (0.0000, 0.0000, 0.5000)
O (0.0485, 0.7366, 0.3750)
O (0.5798, 0.8938, 0.3750)
O (0.1668, 0.8564, 0.1222)
O (0.6995, 0.0129, 0.1239)
O (0.7501, 0.7514, 0.0003)
O (0.6262, 0.6255, 0.2529)
O (0.6732, 0.3586, 0.1261)
O (0.2032, 0.5148, 0.1247)
O (0.3268, 0.6414, 0.8739)
O (0.7968, 0.4852, 0.8753)
O (0.3738, 0.3745, 0.7471)
O (0.2499, 0.2486, 0.9997)
O (0.8971, 0.5979, 0.6154)
O (0.8332, 0.1436, 0.8778)
O (0.3005, 0.9871, 0.8761)
O (0.4202, 0.1062, 0.6250)
O (0.9515, 0.2634, 0.6250)
O (0.8832, 0.8825, 0.7539)
O (0.4466, 0.7469, 0.6155)


# 4
Below is a geometry-optimized BaLaBr5 structure, with properties calculated at the PBE level.

Summary:
Excess energy over the best structure of this formula in the dataset in eV/atom: 0.028
Formation energy from the elements in eV/atom: -2.4175

Lattice parameters (Å, degrees): 4.4966 8.2085 14.2752 86.69 90.00 90.00
Fractional coordinates of all 14 atoms:
Ba (0.7500, 0.5453, 0.6539)
Ba (0.2500, 0.4547, 0.3461)
La (0.2500, 0.9554, 0.8441)
La (0.7500, 0.0446, 0.1559)
Br (0.7500, 0.9569, 0.6927)
Br (0.2500, 0.8562, 0.0622)
Br (0.2500, 0.7001, 0.5193)
Br (0.7500, 0.6865, 0.8827)
Br (0.7500, 0.6991, 0.2525)
Br (0.2500, 0.3009, 0.7475)
Br (0.2500, 0.3135, 0.1173)
Br (0.7500, 0.2999, 0.4807)
Br (0.7500, 0.1438, 0.9378)
Br (0.2500, 0.0431, 0.3073)


# 5
Below is a geometry-optimized AlPO4 structure, with properties calculated at the PBE level.

Summary:
Formation energy from the elements in eV/atom: -3.1088

Lattice parameters (Å, degrees): 9.8053 14.1330 18.2780 90.00 90.00 90.00
Fractional coordinates of all 144 atoms:
Al (0.8392, 0.7567, 0.2006)
Al (0.3392, 0.2433, 0.2994)
Al (0.6608, 0.2567, 0.7994)
Al (0.1608, 0.7433, 0.7006)
Al (0.1608, 0.2433, 0.7994)
Al (0.6608, 0.7567, 0.7006)
Al (0.3392, 0.7433, 0.2006)
Al (0.8392, 0.2567, 0.2994)
Al (0.1545, 0.9634, 0.3213)
Al (0.6545, 0.0366, 0.1787)
Al (0.3455, 0.4634, 0.6787)
Al (0.8455, 0.5366, 0.8213)
Al (0.8455, 0.0366, 0.6787)
Al (0.3455, 0.9634, 0.8213)
Al (0.6545, 0.5366, 0.3213)
Al (0.1545, 0.4634, 0.1787)
Al (0.6282, 0.9297, 0.4140)
Al (0.1281, 0.0703, 0.0860)
Al (0.8718, 0.4297, 0.5860)
Al (0.3718, 0.5703, 0.9140)
Al (0.3718, 0.0703, 0.5860)
Al (0.8718, 0.9297, 0.9140)
Al (0.1281, 0.5703, 0.4140)
Al (0.6282, 0.4297, 0.0860)
P (0.5931, 0.7526, 0.3030)
P (0.0931, 0.2474, 0.1970)
P (0.9069, 0.2526, 0.6970)
P (0.4069, 0.7474, 0.8030)
P (0.4069, 0.2474, 0.6970)
P (0.9069, 0.7526, 0.8030)
P (0.0931, 0.7474, 0.3030)
P (0.5931, 0.2526, 0.1970)
P (0.3417, 0.9629, 0.1761)
P (0.8417, 0.0371, 0.3239)
P (0.1583, 0.4629, 0.8239)
P (0.6583, 0.5371, 0.6761)
P (0.6583, 0.0371, 0.8239)
P (0.1583, 0.9629, 0.6761)
P (0.8417, 0.5371, 0.1761)
P (0.3417, 0.4629, 0.3239)
P (0.8697, 0.9282, 0.0869)
P (0.3697, 0.0718, 0.4131)
P (0.6303, 0.4282, 0.9131)
P (0.1303, 0.5718, 0.5869)
P (0.1303, 0.0718, 0.9131)
P (0.6303, 0.9282, 0.5869)
P (0.3697, 0.5718, 0.0869)
P (0.8697, 0.4282, 0.4131)
O (0.6766, 0.7834, 0.2352)
O (0.1766, 0.2166, 0.2648)
O (0.8234, 0.2834, 0.7648)
O (0.3234, 0.7166, 0.7352)
O (0.3234, 0.2166, 0.7648)
O (0.8234, 0.7834, 0.7352)
O (0.1766, 0.7166, 0.2352)
O (0.6766, 0.2834, 0.2648)
O (0.5996, 0.8278, 0.3628)
O (0.0996, 0.1722, 0.1372)
O (0.9004, 0.3278, 0.6372)
O (0.4004, 0.6722, 0.8628)
O (0.4004, 0.1722, 0.6372)
O (0.9004, 0.8278, 0.8628)
O (0.0996, 0.6722, 0.3628)
O (0.5996, 0.3278, 0.1372)
O (0.4445, 0.7392, 0.2782)
O (0.9445, 0.2608, 0.2218)
O (0.0555, 0.2392, 0.7218)
O (0.5555, 0.7608, 0.7782)
O (0.5555, 0.2608, 0.7218)
O (0.0555, 0.7392, 0.7782)
O (0.9445, 0.7608, 0.2782)
O (0.4445, 0.2392, 0.2218)
O (0.6488, 0.6594, 0.3348)
O (0.1488, 0.3406, 0.1652)
O (0.8512, 0.1594, 0.6652)
O (0.3512, 0.8406, 0.8348)
O (0.3512, 0.3406, 0.6652)
O (0.8512, 0.6594, 0.8348)
O (0.1488, 0.8406, 0.3348)
O (0.6488, 0.1594, 0.1652)
O (0.4889, 0.9943, 0.1905)
O (0.9889, 0.0057, 0.3095)
O (0.0111, 0.4943, 0.8095)
O (0.2536, 0.9866, 0.2435)
O (0.5111, 0.5057, 0.6905)
O (0.0111, 0.9943, 0.6905)
O (0.9889, 0.5057, 0.1905)
O (0.4889, 0.4943, 0.3095)
O (0.3394, 0.8559, 0.1604)
O (0.8394, 0.1441, 0.3396)
O (0.1606, 0.3559, 0.8396)
O (0.6606, 0.6441, 0.6604)
O (0.6606, 0.1441, 0.8396)
O (0.1606, 0.8559, 0.6604)
O (0.8394, 0.6441, 0.1604)
O (0.3394, 0.3559, 0.3396)
O (0.8840, 0.3388, 0.3660)
O (0.3840, 0.6612, 0.1340)
O (0.6160, 0.8388, 0.6340)
O (0.1160, 0.1612, 0.8660)
O (0.1160, 0.6612, 0.6340)
O (0.6160, 0.3388, 0.8660)
O (0.3840, 0.1612, 0.3660)
O (0.8840, 0.8388, 0.1340)
O (0.8659, 0.3983, 0.4937)
O (0.3659, 0.6017, 0.0063)
O (0.6341, 0.8983, 0.5063)
O (0.1341, 0.1017, 0.9937)
O (0.1341, 0.6017, 0.5063)
O (0.6341, 0.3983, 0.9937)
O (0.3659, 0.1017, 0.4937)
O (0.8659, 0.8983, 0.0063)
O (0.7363, 0.4811, 0.3949)
O (0.2363, 0.5189, 0.1051)
O (0.7637, 0.9811, 0.6051)
O (0.2637, 0.0189, 0.8949)
O (0.2637, 0.5189, 0.6051)
O (0.7637, 0.4811, 0.8949)
O (0.2363, 0.0189, 0.3949)
O (0.7363, 0.9811, 0.1051)
O (0.9932, 0.4920, 0.3979)
O (0.4932, 0.5080, 0.1021)
O (0.5068, 0.9920, 0.6021)
O (0.0068, 0.0080, 0.8979)
O (0.0068, 0.5080, 0.6021)
O (0.5068, 0.4920, 0.8979)
O (0.4932, 0.0080, 0.3979)
O (0.9932, 0.9920, 0.1021)
O (0.2838, 0.5163, 0.3904)
O (0.7838, 0.4837, 0.1096)
O (0.2162, 0.0163, 0.6096)
O (0.7162, 0.9837, 0.8904)
O (0.7162, 0.4837, 0.6096)
O (0.2162, 0.5163, 0.8904)
O (0.7838, 0.9837, 0.3904)
O (0.2838, 0.0163, 0.1096)
O (0.2536, 0.4866, 0.2565)
O (0.7536, 0.5134, 0.2435)
O (0.2464, 0.9866, 0.7435)
O (0.7464, 0.0134, 0.7565)
O (0.7464, 0.5134, 0.7435)
O (0.2464, 0.4866, 0.7565)
O (0.7536, 0.0134, 0.2565)
O (0.5111, 0.0057, 0.8095)


# 6
Below is a geometry-optimized UPbO4 structure, with properties calculated at the PBE level.

Summary:
Formation energy from the elements in eV/atom: -2.9676

Lattice parameters (Å, degrees): 5.6583 8.0412 8.2909 90.00 90.00 90.00
Fractional coordinates of all 24 atoms:
U (0.0000, 0.0000, 0.0000)
U (0.0000, 0.5000, 0.0000)
U (0.0000, 0.5000, 0.5000)
U (0.0000, 0.0000, 0.5000)
Pb (0.5047, 0.2036, 0.2500)
Pb (0.5047, 0.2964, 0.7500)
Pb (0.4953, 0.7036, 0.2500)
Pb (0.4953, 0.7964, 0.7500)
O (0.2973, 0.9147, 0.0785)
O (0.2973, 0.5853, 0.9215)
O (0.7027, 0.4147, 0.4215)
O (0.7027, 0.0853, 0.5785)
O (0.7027, 0.0853, 0.9215)
O (0.7027, 0.4147, 0.0785)
O (0.2973, 0.5853, 0.5785)
O (0.2973, 0.9147, 0.4215)
O (0.1539, 0.2500, 0.0000)
O (0.8461, 0.7500, 0.5000)
O (0.8461, 0.7500, 0.0000)
O (0.1539, 0.2500, 0.5000)
O (0.8678, 0.0381, 0.2500)
O (0.8678, 0.4619, 0.7500)
O (0.1322, 0.5381, 0.2500)
O (0.1322, 0.9619, 0.7500)


# 7
Below is a geometry-optimized Th3U3P8 structure, with properties calculated at the PBE level.

Summary:
Formation energy from the elements in eV/atom: -1.1479

Lattice parameters (Å, degrees): 7.2853 7.2853 8.4129 54.99 54.99 70.63
Fractional coordinates of all 14 atoms:
Th (0.1254, 0.6210, 0.3776)
Th (0.3790, 0.8746, 0.6224)
Th (0.6220, 0.3780, 0.5000)
U (0.8779, 0.1221, 0.0000)
U (0.7484, 0.7520, 0.8733)
U (0.2480, 0.2516, 0.1267)
P (0.6543, 0.4903, 0.7684)
P (0.9950, 0.1514, 0.5974)
P (0.8486, 0.0050, 0.4026)
P (0.5097, 0.3457, 0.2316)
P (0.9991, 0.6598, 0.0851)
P (0.1449, 0.4924, 0.7680)
P (0.3402, 0.0009, 0.9149)
P (0.5076, 0.8551, 0.2320)


# 8
Below is a geometry-optimized TbSi2Ni10 structure, with properties calculated at the PBE level.

Summary:
Excess energy over the best structure of this formula in the dataset in eV/atom: 0.000
Formation energy from the elements in eV/atom: -0.4384

Lattice parameters (Å, degrees): 8.1721 8.1721 4.6719 90.00 90.00 90.00
Fractional coordinates of all 26 atoms:
Tb (0.5000, 0.0000, 0.7793)
Tb (0.0000, 0.5000, 0.2207)
Si (0.7500, 0.7500, 0.5000)
Si (0.2500, 0.2500, 0.5000)
Si (0.7500, 0.2500, 0.5000)
Si (0.2500, 0.7500, 0.5000)
Ni (0.2500, 0.2500, 0.0000)
Ni (0.2500, 0.7500, 0.0000)
Ni (0.5000, 0.2242, 0.2714)
Ni (0.7500, 0.7500, 0.0000)
Ni (0.7500, 0.2500, 0.0000)
Ni (0.5000, 0.7758, 0.2714)
Ni (0.3531, 0.5000, 0.2384)
Ni (0.0000, 0.1469, 0.2384)
Ni (0.0000, 0.8531, 0.2384)
Ni (0.6469, 0.5000, 0.2384)
Ni (0.1469, 0.0000, 0.7616)
Ni (0.8531, 0.0000, 0.7616)
Ni (0.5000, 0.3531, 0.7616)
Ni (0.5000, 0.6469, 0.7616)
Ni (0.7758, 0.5000, 0.7286)
Ni (0.0000, 0.7242, 0.7286)
Ni (0.0000, 0.2758, 0.7286)
Ni (0.2242, 0.5000, 0.7286)
Ni (0.7242, 0.0000, 0.2714)
Ni (0.2758, 0.0000, 0.2714)